Entry from the Materials Project: crystalline SmSnPt at its relaxed geometry (r²SCAN).

Cell: 7.5542 7.5542 4.0857 Å, 90.00 90.00 120.00°
Closest atoms and distances in Å follow each position.
Space group P-62m (No. 189)
Inequivalent atoms, fractional coordinates:
Sm  0.0000  0.5920  0.0000  5 Pt 3.07-3.08, 6 Sn 3.26-3.38
Sn  0.0000  0.2558  0.5000  4 Pt 2.81-2.86
Pt  0.0000  0.0000  0.0000  6 Sn 2.81, 3 Sm 3.08
Pt  0.3333  0.6667  0.5000  3 Sn 2.86, 6 Sm 3.07

energy of formation: -1176 meV per atom
density: 11.5 g/cm3



Entry from the Materials Project: crystalline KCoF4 at its relaxed geometry (r²SCAN).

Cell: 7.5863 7.5887 5.7501 Å, 90.00 90.00 90.00°
Closest atoms and distances in Å follow each position.
Space group P2_12_12 (No. 18)
Inequivalent atoms, fractional coordinates:
K  0.0000  0.0000  0.9999  12 F 2.89-3.04
K  0.0000  0.5000  0.0745  8 F 2.60-2.71
Co  0.2486  0.2487  0.4999  6 F 1.80-2.00
F  0.0020  0.7624  0.3929  2 Co 1.99-2.00
F  0.1861  0.3077  0.7909  1 Co 1.80
F  0.1926  0.6873  0.7918  1 Co 1.80
F  0.2371  0.9984  0.6065  2 Co 1.99-2.00

energy of formation: -2497 meV per atom
density: 3.5 g/cm3



Entry from the Materials Project: crystalline Yb4Zr3O12 at its relaxed geometry (r²SCAN).

Cell: 6.2591 6.2803 6.4073 Å, 99.73 98.96 99.46°
Closest atoms and distances in Å follow each position.
Space group P-1 (No. 2)
Inequivalent atoms, fractional coordinates:
Yb  0.1100  0.3014  0.1352  6 O 2.16-2.36
Yb  0.1925  0.8640  0.3899  6 O 2.17-2.33
Zr  0.3508  0.3947  0.6754  6 O 2.05-2.21
Zr  0.5000  0.0000  0.0000  6 O 2.07-2.14
O  0.0843  0.1857  0.4317  3 Yb 2.16-2.23, 1 Zr 2.17
O  0.0838  0.4195  0.8219  1 Zr 2.05, 2 Yb 2.25-2.29
O  0.1834  0.9289  0.0600  1 Zr 2.07, 2 Yb 2.20-2.21
O  0.3257  0.5718  0.4259  2 Zr 2.10-2.21, 1 Yb 2.17
O  0.4190  0.0782  0.6879  2 Zr 2.11-2.14, 1 Yb 2.26
O  0.4643  0.3233  0.1056  2 Zr 2.09-2.10, 1 Yb 2.24

energy of formation: -3947 meV per atom
density: 8.0 g/cm3



Entry from the Materials Project: crystalline Cu2As2O7 at its relaxed geometry (r²SCAN).

Cell: 7.2002 8.2429 4.9007 Å, 90.00 111.15 90.00°
Closest atoms and distances in Å follow each position.
Space group C2/m (No. 12)
Inequivalent atoms, fractional coordinates:
Cu  0.0000  0.1851  0.0000  4 O 1.91-1.97
As  0.2071  0.5000  0.4037  4 O 1.67-1.72
O  0.0000  0.5000  0.5000  2 As 1.72
O  0.0987  0.0000  0.2693  1 As 1.70
O  0.2083  0.3313  0.2144  1 As 1.67

energy of formation: -1104 meV per atom
density: 4.8 g/cm3



Entry from the Materials Project: crystalline HoTlS2 at its relaxed geometry (r²SCAN).

Cell: 3.9917 3.9917 22.4901 Å, 90.00 90.00 120.00°
Closest atoms and distances in Å follow each position.
Space group R-3m (No. 166, hexagonal axes)
Inequivalent atoms, fractional coordinates:
Ho  0.0000  0.0000  0.0000  6 S 2.74
Tl  0.0000  0.0000  0.5000  6 S 3.24
S  0.0000  0.0000  0.2677  3 Ho 2.74

energy of formation: -1716 meV per atom
density: 7.0 g/cm3



Entry from the Materials Project: crystalline Sr5Bi3 at its relaxed geometry (r²SCAN).

Cell: 9.7343 9.7343 7.5724 Å, 90.00 90.00 120.00°
Closest atoms and distances in Å follow each position.
Space group P6_3/mcm (No. 193)
Inequivalent atoms, fractional coordinates:
Sr  0.0000  0.2522  0.2500  3 Bi 3.33-3.48
Sr  0.3333  0.6667  0.0000  6 Bi 3.55, 2 Sr 3.79
Bi  0.0000  0.3899  0.7500  7 Sr 3.33-3.55

energy of formation: -1042 meV per atom
density: 5.7 g/cm3



Entry from the Materials Project: crystalline PrAlRh at its relaxed geometry (r²SCAN).

Cell: 7.0729 4.2675 8.1820 Å, 90.00 90.00 90.00°
Closest atoms and distances in Å follow each position.
Space group Pnma (No. 62)
Inequivalent atoms, fractional coordinates:
Pr  0.0385  0.2500  0.1810  5 Rh 2.94-3.12, 3 Al 3.16-3.25
Al  0.1313  0.2500  0.5584  4 Rh 2.57-2.85
Rh  0.2268  0.7500  0.3850  4 Al 2.57-2.85

energy of formation: -840 meV per atom
density: 7.3 g/cm3



Entry from the Materials Project: crystalline MgPb at its relaxed geometry (r²SCAN).

Cell: 5.4465 3.5415 5.3301 Å, 90.00 90.00 90.00°
Closest atoms and distances in Å follow each position.
Space group Pmma (No. 51)
Inequivalent atoms, fractional coordinates:
Mg  0.2500  0.0000  0.2142  8 Pb 3.17-3.27, 4 Mg 3.54-3.55
Pb  0.2500  0.5000  0.7201  8 Mg 3.17-3.27, 2 Pb 3.54

energy of formation: -49 meV per atom
density: 7.5 g/cm3